1.
# Gd2Mo3O12 (GGA+U, optimized geometry)
data_Gd2Mo3O12
_chemical_formula_sum 'Gd8 Mo12 O48'
_space_group_name_H-M_alt 'P 1'
_space_group_IT_number 1
_space_group_name_Hall 'P 1'
_cell_length_a 10.636
_cell_length_b 10.643
_cell_length_c 10.820
_cell_angle_alpha 90.00
_cell_angle_beta 90.00
_cell_angle_gamma 90.00
loop_
_atom_site_label
_atom_site_fract_x
_atom_site_fract_y
_atom_site_fract_z
Mo1 0.746 0.255 0.499
Mo2 0.707 0.006 0.855
Mo3 0.754 0.755 0.499
Mo4 0.793 0.506 0.855
Mo5 0.998 0.793 0.143
Mo6 0.002 0.207 0.143
Mo7 0.293 0.994 0.855
Mo8 0.502 0.293 0.143
Mo9 0.207 0.494 0.855
Mo10 0.246 0.245 0.499
Mo11 0.254 0.745 0.499
Mo12 0.498 0.707 0.143
O1 0.875 0.124 0.211
O2 0.126 0.627 0.796
O3 0.304 0.992 0.020
O4 0.823 0.638 0.400
O5 0.127 0.002 0.808
O6 0.362 0.316 0.597
O7 0.862 0.184 0.597
O8 0.356 0.850 0.798
O9 0.138 0.816 0.597
O10 0.874 0.373 0.796
O11 0.627 0.324 0.594
O12 0.856 0.650 0.798
O13 0.374 0.127 0.796
O14 0.373 0.676 0.594
O15 0.183 0.627 0.404
O16 0.644 0.150 0.798
O17 0.873 0.998 0.808
O18 0.196 0.492 0.020
O19 0.177 0.362 0.400
O20 0.817 0.373 0.404
O21 0.489 0.304 0.979
O22 0.996 0.373 0.191
O23 0.373 0.502 0.808
O24 0.683 0.873 0.404
O25 0.151 0.146 0.190
O26 0.849 0.854 0.190
O27 0.625 0.624 0.211
O28 0.873 0.824 0.594
O29 0.504 0.873 0.191
O30 0.989 0.196 0.979
O31 0.317 0.127 0.404
O32 0.004 0.627 0.191
O33 0.638 0.684 0.597
O34 0.323 0.862 0.400
O35 0.627 0.498 0.808
O36 0.011 0.804 0.979
O37 0.375 0.376 0.211
O38 0.626 0.873 0.796
O39 0.125 0.876 0.211
O40 0.511 0.696 0.979
O41 0.496 0.127 0.191
O42 0.804 0.508 0.020
O43 0.651 0.354 0.190
O44 0.127 0.176 0.594
O45 0.144 0.350 0.798
O46 0.677 0.138 0.400
O47 0.349 0.646 0.190
O48 0.696 0.008 0.020
Gd1 0.689 0.003 0.236
Gd2 0.497 0.311 0.762
Gd3 0.811 0.503 0.236
Gd4 0.311 0.997 0.236
Gd5 0.189 0.497 0.236
Gd6 0.997 0.189 0.762
Gd7 0.003 0.811 0.762
Gd8 0.503 0.689 0.762
# * volume: 1224.8 Å³ per cell
# * distance to the lowest polymorph of the same formula: 0 meV per atom
# * E_form: -2.636 eV per atom
# * SG: Pba2

***

2.
# Ho2FeSbO7 (GGA+U, optimized geometry)
data_Ho2FeSbO7
_chemical_formula_sum 'Ho4 Fe2 Sb2 O14'
_space_group_name_H-M_alt 'P 1'
_space_group_IT_number 1
_space_group_name_Hall 'P 1'
_cell_length_a 7.284
_cell_length_b 7.284
_cell_length_c 7.284
_cell_angle_alpha 120.43
_cell_angle_beta 119.43
_cell_angle_gamma 90.12
loop_
_atom_site_label
_atom_site_fract_x
_atom_site_fract_y
_atom_site_fract_z
Fe1 0.000 0.000 0.500
Fe2 0.000 0.500 0.000
O1 0.910 0.168 0.328
O2 0.667 0.417 0.250
O3 0.090 0.832 0.672
O4 0.910 0.160 0.750
O5 0.660 0.832 0.242
O6 0.340 0.581 0.172
O7 0.090 0.419 0.258
O8 0.340 0.168 0.758
O9 0.333 0.583 0.750
O10 0.910 0.581 0.742
O11 0.377 0.127 0.250
O12 0.623 0.873 0.750
O13 0.090 0.840 0.250
O14 0.660 0.419 0.828
Ho1 0.500 0.000 0.500
Ho2 0.500 0.500 0.500
Ho3 0.000 0.000 0.000
Ho4 0.500 0.000 0.000
Sb1 0.500 0.500 0.000
Sb2 0.000 0.500 0.500
# * volume: 273.5 Å³ per cell
# * E_form: -2.751 eV per atom
# * SG: Imma

***

3.
# LiCoC2O6 (GGA+U, optimized geometry)
data_LiCoC2O6
_chemical_formula_sum 'Li4 Co4 C8 O24'
_space_group_name_H-M_alt 'P 1'
_space_group_IT_number 1
_space_group_name_Hall 'P 1'
_cell_length_a 4.673
_cell_length_b 5.768
_cell_length_c 15.779
_cell_angle_alpha 97.11
_cell_angle_beta 81.55
_cell_angle_gamma 113.77
loop_
_atom_site_label
_atom_site_fract_x
_atom_site_fract_y
_atom_site_fract_z
O1 0.986 0.147 0.879
O2 0.479 0.895 0.629
O3 0.990 0.646 0.381
O4 0.020 0.357 0.623
O5 0.504 0.751 0.491
O6 0.009 0.857 0.120
O7 0.513 0.106 0.371
O8 0.407 0.577 0.314
O9 0.997 0.004 0.740
O10 0.001 0.995 0.259
O11 0.501 0.244 0.510
O12 0.095 0.175 0.436
O13 0.909 0.834 0.567
O14 0.511 0.266 0.987
O15 0.998 0.506 0.242
O16 0.511 0.601 0.870
O17 0.988 0.485 0.762
O18 0.913 0.326 0.062
O19 0.093 0.672 0.935
O20 0.502 0.751 0.008
O21 0.590 0.923 0.188
O22 0.587 0.416 0.685
O23 0.485 0.386 0.127
O24 0.405 0.078 0.813
C1 0.641 0.329 0.059
C2 0.866 0.925 0.189
C3 0.862 0.417 0.690
C4 0.369 0.673 0.938
C5 0.632 0.829 0.561
C6 0.132 0.578 0.312
C7 0.368 0.173 0.439
C8 0.130 0.077 0.811
Co1 0.250 0.123 0.625
Co2 0.748 0.375 0.875
Co3 0.253 0.625 0.125
Co4 0.752 0.877 0.375
Li1 0.001 0.498 0.499
Li2 0.996 0.000 0.000
Li3 0.502 0.251 0.250
Li4 0.502 0.753 0.751
# * volume: 384.0 Å³ per cell
# * distance to the lowest polymorph of the same formula: 20 meV per atom
# * E_form: -1.749 eV per atom
# * SG: P1

***

4.
# MnVP2O8F2 (GGA+U, optimized geometry)
data_MnVP2O8F2
_chemical_formula_sum 'Mn2 V2 P4 O16 F4'
_space_group_name_H-M_alt 'P 1'
_space_group_IT_number 1
_space_group_name_Hall 'P 1'
_cell_length_a 7.037
_cell_length_b 7.553
_cell_length_c 7.373
_cell_angle_alpha 91.97
_cell_angle_beta 115.31
_cell_angle_gamma 89.07
loop_
_atom_site_label
_atom_site_fract_x
_atom_site_fract_y
_atom_site_fract_z
O1 0.587 0.241 0.593
O2 0.850 0.494 0.667
O3 0.542 0.281 0.127
O4 0.087 0.741 0.594
O5 0.301 0.563 0.094
O6 0.413 0.759 0.406
O7 0.350 0.994 0.667
O8 0.913 0.259 0.407
O9 0.958 0.219 0.873
O10 0.042 0.781 0.126
O11 0.458 0.719 0.873
O12 0.650 0.006 0.333
O13 0.150 0.506 0.333
O14 0.199 0.937 0.906
O15 0.801 0.063 0.094
O16 0.699 0.437 0.906
P1 0.729 0.155 0.248
P2 0.229 0.655 0.248
P3 0.771 0.345 0.752
P4 0.271 0.845 0.752
Mn1 0.500 0.000 0.500
Mn2 0.000 0.500 0.500
F1 0.712 0.594 0.232
F2 0.212 0.094 0.232
F3 0.788 0.906 0.768
F4 0.288 0.406 0.768
V1 0.500 0.500 0.000
V2 0.000 0.000 0.000
# * volume: 354.0 Å³ per cell
# * E_form: -2.551 eV per atom

***

5.
# MgTi3Fe2CoP6O24 (GGA+U, optimized geometry)
data_MgTi3Fe2CoP6O24
_chemical_formula_sum 'Mg1 Ti3 Fe2 Co1 P6 O24'
_space_group_name_H-M_alt 'P 1'
_space_group_IT_number 1
_space_group_name_Hall 'P 1'
_cell_length_a 8.730
_cell_length_b 8.734
_cell_length_c 8.735
_cell_angle_alpha 59.88
_cell_angle_beta 60.03
_cell_angle_gamma 59.87
loop_
_atom_site_label
_atom_site_fract_x
_atom_site_fract_y
_atom_site_fract_z
O1 0.926 0.664 0.518
O2 0.926 0.516 0.892
O3 0.719 0.448 0.237
O4 0.795 0.903 0.262
O5 0.421 0.001 0.194
O6 0.719 0.598 0.445
O7 0.575 0.828 0.607
O8 0.234 0.936 0.089
O9 0.259 0.411 0.570
O10 0.236 0.739 0.937
O11 0.714 0.239 0.597
O12 0.235 0.087 0.739
O13 0.257 0.569 0.761
O14 0.420 0.383 0.000
O15 0.421 0.195 0.383
O16 0.076 0.308 0.495
O17 0.924 0.894 0.664
O18 0.794 0.044 0.900
O19 0.077 0.119 0.309
O20 0.263 0.758 0.412
O21 0.574 0.608 0.990
O22 0.573 0.990 0.829
O23 0.793 0.262 0.044
O24 0.076 0.497 0.121
P1 0.249 0.251 0.549
P2 0.248 0.549 0.952
P3 0.751 0.038 0.752
P4 0.753 0.753 0.457
P5 0.752 0.458 0.038
P6 0.250 0.951 0.250
Fe1 0.489 0.503 0.504
Fe2 0.011 0.995 0.997
Mg1 0.258 0.247 0.247
Ti1 0.438 0.854 0.853
Ti2 0.889 0.371 0.370
Ti3 0.060 0.646 0.647
Co1 0.614 0.131 0.126
# * volume: 470.2 Å³ per cell
# * distance to the lowest polymorph of the same formula: 29 meV per atom
# * E_form: -2.666 eV per atom
# * SG: P1

***

6.
# K2FeH8S2O12 (GGA+U, optimized geometry)
data_K2FeH8S2O12
_chemical_formula_sum 'K4 Fe2 H16 S4 O24'
_space_group_name_H-M_alt 'P 1'
_space_group_IT_number 1
_space_group_name_Hall 'P 1'
_cell_length_a 7.718
_cell_length_b 7.718
_cell_length_c 10.042
_cell_angle_alpha 86.10
_cell_angle_beta 86.10
_cell_angle_gamma 78.26
loop_
_atom_site_label
_atom_site_fract_x
_atom_site_fract_y
_atom_site_fract_z
O1 0.808 0.827 0.379
O2 0.623 0.303 0.645
O3 0.715 0.963 0.593
O4 0.017 0.012 0.213
O5 0.988 0.983 0.787
O6 0.474 0.223 0.887
O7 0.220 0.780 0.000
O8 0.686 0.687 0.903
O9 0.825 0.825 0.070
O10 0.302 0.624 0.645
O11 0.666 0.669 0.562
O12 0.376 0.698 0.355
O13 0.697 0.377 0.355
O14 0.331 0.334 0.438
O15 0.222 0.475 0.887
O16 0.777 0.526 0.113
O17 0.285 0.036 0.420
O18 0.173 0.192 0.621
O19 0.525 0.778 0.113
O20 0.175 0.175 0.930
O21 0.781 0.219 0.000
O22 0.037 0.285 0.407
O23 0.964 0.715 0.580
O24 0.313 0.314 0.097
S1 0.205 0.211 0.474
S2 0.704 0.704 0.046
S3 0.296 0.296 0.954
S4 0.789 0.795 0.526
K1 0.427 0.909 0.752
K2 0.566 0.095 0.248
K3 0.905 0.434 0.752
K4 0.091 0.573 0.248
H1 0.778 0.336 0.039
H2 0.334 0.818 0.391
H3 0.444 0.719 0.270
H4 0.336 0.778 0.039
H5 0.222 0.664 0.961
H6 0.665 0.183 0.610
H7 0.717 0.445 0.269
H8 0.946 0.950 0.279
H9 0.182 0.666 0.609
H10 0.078 0.084 0.264
H11 0.817 0.335 0.390
H12 0.555 0.283 0.731
H13 0.916 0.922 0.736
H14 0.050 0.054 0.721
H15 0.664 0.222 0.961
H16 0.281 0.556 0.730
Fe1 0.000 0.000 0.000
Fe2 0.499 0.501 0.500
# * volume: 583.5 Å³ per cell
# * distance to the lowest polymorph of the same formula: 4 meV per atom
# * E_form: -1.703 eV per atom
# * SG: C2

***

7.
# LiCrP3O9 (GGA+U, optimized geometry)
data_LiCrP3O9
_chemical_formula_sum 'Li4 Cr4 P12 O36'
_space_group_name_H-M_alt 'P 1'
_space_group_IT_number 1
_space_group_name_Hall 'P 1'
_cell_length_a 5.532
_cell_length_b 10.725
_cell_length_c 11.669
_cell_angle_alpha 90.00
_cell_angle_beta 90.00
_cell_angle_gamma 90.00
loop_
_atom_site_label
_atom_site_fract_x
_atom_site_fract_y
_atom_site_fract_z
P1 0.874 0.350 0.634
P2 0.378 0.425 0.377
P3 0.126 0.850 0.866
P4 0.622 0.925 0.123
P5 0.374 0.150 0.366
P6 0.435 0.802 0.321
P7 0.878 0.075 0.623
P8 0.122 0.575 0.877
P9 0.626 0.650 0.134
P10 0.065 0.198 0.821
P11 0.935 0.698 0.679
P12 0.565 0.302 0.179
Li1 0.416 0.883 0.577
Li2 0.916 0.617 0.423
Li3 0.584 0.383 0.923
Li4 0.084 0.117 0.077
O1 0.326 0.316 0.117
O2 0.674 0.816 0.383
O3 0.083 0.092 0.721
O4 0.500 0.559 0.059
O5 0.583 0.408 0.279
O6 0.126 0.120 0.318
O7 0.448 0.678 0.243
O8 0.360 0.286 0.428
O9 0.486 0.509 0.466
O10 0.206 0.801 0.388
O11 0.500 0.059 0.441
O12 0.052 0.322 0.743
O13 0.874 0.620 0.182
O14 0.855 0.965 0.180
O15 0.014 0.491 0.966
O16 0.948 0.822 0.757
O17 0.860 0.214 0.572
O18 0.794 0.301 0.112
O19 0.706 0.699 0.612
O20 0.514 0.009 0.034
O21 0.626 0.380 0.682
O22 0.355 0.535 0.820
O23 0.140 0.714 0.928
O24 0.145 0.465 0.320
O25 0.552 0.178 0.257
O26 0.826 0.184 0.883
O27 0.174 0.684 0.617
O28 0.917 0.592 0.779
O29 0.000 0.441 0.559
O30 0.640 0.786 0.072
O31 0.986 0.991 0.534
O32 0.294 0.199 0.888
O33 0.645 0.035 0.680
O34 0.417 0.908 0.221
O35 0.374 0.880 0.818
O36 0.000 0.941 0.941
Cr1 0.589 0.031 0.859
Cr2 0.089 0.469 0.141
Cr3 0.411 0.531 0.641
Cr4 0.911 0.969 0.359
# * volume: 692.4 Å³ per cell
# * distance to the lowest polymorph of the same formula: 57 meV per atom
# * E_form: -2.545 eV per atom
# * SG: P2_12_12_1

***

8.
# Ba3Mo2I2O18 (GGA+U, optimized geometry)
data_Ba3Mo2I2O18
_chemical_formula_sum 'Ba6 Mo4 I4 O36'
_space_group_name_H-M_alt 'P 1'
_space_group_IT_number 1
_space_group_name_Hall 'P 1'
_cell_length_a 5.055
_cell_length_b 7.387
_cell_length_c 22.905
_cell_angle_alpha 87.84
_cell_angle_beta 83.66
_cell_angle_gamma 69.99
loop_
_atom_site_label
_atom_site_fract_x
_atom_site_fract_y
_atom_site_fract_z
Ba1 0.224 0.500 0.500
Ba2 0.718 0.787 0.192
Ba3 0.697 0.213 0.808
Ba4 0.660 0.287 0.308
Ba5 0.474 0.000 0.000
Ba6 0.255 0.713 0.692
O1 0.689 0.869 0.314
O2 0.753 0.369 0.186
O3 0.093 0.968 0.356
O4 0.834 0.524 0.669
O5 0.377 0.375 0.620
O6 0.235 0.699 0.264
O7 0.311 0.752 0.916
O8 0.308 0.631 0.814
O9 0.414 0.147 0.405
O10 0.503 0.125 0.120
O11 0.310 0.353 0.905
O12 0.965 0.853 0.595
O13 0.979 0.248 0.084
O14 0.627 0.128 0.525
O15 0.199 0.301 0.736
O16 0.417 0.032 0.644
O17 0.199 0.468 0.144
O18 0.872 0.131 0.686
O19 0.373 0.625 0.380
O20 0.505 0.372 0.025
O21 0.684 0.801 0.764
O22 0.568 0.647 0.095
O23 0.748 0.875 0.880
O24 0.666 0.582 0.540
O25 0.956 0.082 0.960
O26 0.250 0.199 0.236
O27 0.252 0.024 0.831
O28 0.280 0.872 0.475
O29 0.813 0.748 0.416
O30 0.026 0.476 0.331
O31 0.977 0.252 0.584
O32 0.107 0.976 0.169
O33 0.998 0.918 0.040
O34 0.812 0.532 0.856
O35 0.788 0.418 0.460
O36 0.901 0.628 0.975
I1 0.046 0.720 0.339
I2 0.104 0.280 0.661
I3 0.515 0.780 0.839
I4 0.135 0.220 0.161
Mo1 0.074 0.592 0.905
Mo2 0.729 0.092 0.595
Mo3 0.571 0.408 0.095
Mo4 0.416 0.908 0.405
# * volume: 798.7 Å³ per cell
# * E_form: -1.692 eV per atom
# * SG: Fdd2

***

9.
# NiHO2 (GGA+U, optimized geometry)
data_NiHO2
_chemical_formula_sum 'Ni1 H1 O2'
_space_group_name_H-M_alt 'P 1'
_space_group_IT_number 1
_space_group_name_Hall 'P 1'
_cell_length_a 3.032
_cell_length_b 3.032
_cell_length_c 4.549
_cell_angle_alpha 77.27
_cell_angle_beta 77.27
_cell_angle_gamma 56.12
loop_
_atom_site_label
_atom_site_fract_x
_atom_site_fract_y
_atom_site_fract_z
O1 0.599 0.599 0.226
O2 0.395 0.395 0.775
H1 0.508 0.508 0.468
Ni1 0.998 0.998 0.998
# * volume: 33.6 Å³ per cell
# * E_form: -1.061 eV per atom
# * SG: Cm

***

10.
# NaNiO2 (GGA+U, optimized geometry)
data_NaNiO2
_chemical_formula_sum 'Na1 Ni1 O2'
_space_group_name_H-M_alt 'P 1'
_space_group_IT_number 1
_space_group_name_Hall 'P 1'
_cell_length_a 3.737
_cell_length_b 3.737
_cell_length_c 3.355
_cell_angle_alpha 90.00
_cell_angle_beta 90.00
_cell_angle_gamma 90.00
loop_
_atom_site_label
_atom_site_fract_x
_atom_site_fract_y
_atom_site_fract_z
Ni1 0.000 0.000 0.000
O1 0.000 0.500 0.000
O2 0.500 0.000 0.000
Na1 0.500 0.500 0.500
# * volume: 46.9 Å³ per cell
# * E_form: -0.966 eV per atom
# * SG: P4/mmm